The following is a DFT calculation (PBE-GGA) of Al4Si after structural relaxation.

Results
Its symmetry is R-3m, No. 166. The calculation puts the formation energy from the elements at 115 meV per atom.

a = 11.4802 Å, b = 11.4802 Å, c = 11.4802 Å
α = 14.24°, β = 14.24°, γ = 14.24°
Last column: nearest neighbours and their distance in Å.
Fractional coordinates of all 5 atoms:
Al 0.1027 0.1027 0.1027  3 Si 2.73, 9 Al 2.84-2.85
Al 0.2986 0.2986 0.2986  12 Al 2.84-2.88
Al 0.7014 0.7014 0.7014  12 Al 2.84-2.88
Al 0.8973 0.8973 0.8973  3 Si 2.73, 9 Al 2.84-2.85
Si 0.5000 0.5000 0.5000  6 Al 2.73, 6 Si 2.85

***

The following is a DFT calculation (PBE-GGA) of Al4Si19 after structural relaxation.

Results
Its symmetry is P1, No. 1. The calculation puts the formation energy from the elements at 291 meV per atom.

a = 10.3351 Å, b = 10.3935 Å, c = 10.4733 Å
α = 89.02°, β = 89.44°, γ = 89.37°
Last column: nearest neighbours and their distance in Å.
Fractional coordinates of all 46 atoms:
Al 0.0000 0.0000 0.0000  4 Si 2.49-2.56
Al 0.0016 0.6342 0.1947  4 Si 2.46-2.54
Al 0.2595 0.3829 0.6894  4 Si 2.48-2.51
Al 0.3080 0.8775 0.8062  4 Si 2.47-2.57
Al 0.5013 0.6904 0.0739  4 Si 2.44-2.53
Al 0.5053 0.8825 0.4389  4 Si 2.49-2.51
Al 0.8098 0.2610 0.1852  4 Si 2.49-2.52
Al 0.8838 0.1913 0.6850  4 Si 2.46-2.52
Si 0.0024 0.7713 0.3841  3 Si 2.37, 1 Al 2.46
Si 0.0045 0.9990 0.3822  4 Si 2.37-2.40
Si 0.0137 0.1314 0.1955  2 Si 2.37, 2 Al 2.49
Si 0.1076 0.5724 0.6845  3 Si 2.36-2.39, 1 Al 2.51
Si 0.1221 0.1879 0.6801  2 Si 2.35-2.38, 2 Al 2.46-2.49
Si 0.1739 0.6804 0.8715  3 Si 2.33-2.39, 1 Al 2.57
Si 0.1817 0.6965 0.5047  4 Si 2.36-2.40
Si 0.1883 0.0626 0.5028  4 Si 2.36-2.40
Si 0.1921 0.0850 0.8687  2 Si 2.35-2.37, 2 Al 2.55-2.56
Si 0.1968 0.4903 0.1947  3 Si 2.36-2.40, 1 Al 2.50
Si 0.1992 0.2631 0.1946  4 Si 2.36-2.39
Si 0.3020 0.8753 0.5708  2 Si 2.36, 2 Al 2.47-2.50
Si 0.3124 0.5550 0.0070  3 Si 2.36-2.39, 1 Al 2.53
Si 0.3179 0.5620 0.3744  4 Si 2.36-2.40
Si 0.3206 0.2057 0.0087  4 Si 2.36-2.39
Si 0.3243 0.1988 0.3736  4 Si 2.36-2.40
Si 0.3935 0.3783 0.4915  3 Si 2.36-2.38, 1 Al 2.48
Si 0.3941 0.3832 0.8851  3 Si 2.36-2.37, 1 Al 2.49
Si 0.4989 0.6833 0.3073  2 Si 2.36, 2 Al 2.44-2.51
Si 0.5020 0.0783 0.0703  4 Si 2.34-2.40
Si 0.5040 0.0797 0.2978  3 Si 2.36-2.38, 1 Al 2.51
Si 0.5060 0.8901 0.9406  2 Si 2.39-2.40, 2 Al 2.48-2.50
Si 0.6216 0.3802 0.4971  4 Si 2.36-2.40
Si 0.6231 0.3827 0.8794  4 Si 2.37-2.38
Si 0.6803 0.1953 0.3803  3 Si 2.37, 1 Al 2.52
Si 0.6823 0.1946 0.9979  3 Si 2.33-2.38, 1 Al 2.49
Si 0.6844 0.5664 0.3746  4 Si 2.36-2.40
Si 0.6926 0.8777 0.8041  4 Si 2.34-2.39
Si 0.6943 0.5581 0.0010  3 Si 2.35-2.37, 1 Al 2.53
Si 0.6992 0.8776 0.5776  3 Si 2.35-2.37, 1 Al 2.49
Si 0.7456 0.3890 0.6869  3 Si 2.37-2.38, 1 Al 2.49
Si 0.8034 0.4999 0.1898  2 Si 2.35-2.39, 2 Al 2.49
Si 0.8057 0.0584 0.8692  2 Si 2.33-2.34, 2 Al 2.49-2.50
Si 0.8169 0.0558 0.5006  3 Si 2.35-2.37, 1 Al 2.52
Si 0.8174 0.6937 0.8654  4 Si 2.35-2.38
Si 0.8191 0.6993 0.5020  4 Si 2.36-2.40
Si 0.8788 0.5742 0.6832  4 Si 2.36-2.38
Si 0.9953 0.7595 0.9847  2 Si 2.33-2.35, 2 Al 2.51-2.54

***

The following is a DFT calculation (PBE-GGA) of SmAl2Si2 after structural relaxation.

Results
Its symmetry is P-3m1, No. 164. The calculation puts the formation energy from the elements at -363 meV per atom.

a = 4.2244 Å, b = 4.2244 Å, c = 6.7188 Å
α = 90.00°, β = 90.00°, γ = 120.00°
Last column: nearest neighbours and their distance in Å.
Fractional coordinates of all 5 atoms:
Sm 0.0000 0.0000 0.0000  6 Si 3.02
Al 0.3333 0.6667 0.3575  4 Si 2.52-2.53
Al 0.6667 0.3333 0.6425  4 Si 2.52-2.53
Si 0.3333 0.6667 0.7346  4 Al 2.52-2.53
Si 0.6667 0.3333 0.2654  4 Al 2.52-2.53

***

The following is a DFT calculation (PBE-GGA) of SrAlSi after structural relaxation.

Results
Its symmetry is P-6m2, No. 187. The calculation puts the formation energy from the elements at -375 meV per atom.

a = 4.2676 Å, b = 4.2676 Å, c = 4.7499 Å
α = 90.00°, β = 90.00°, γ = 120.00°
Last column: nearest neighbours and their distance in Å.
Fractional coordinates of all 3 atoms:
Sr 0.0000 0.0000 0.0000  6 Al 3.42, 6 Si 3.42
Al 0.6667 0.3333 0.5000  3 Si 2.46
Si 0.3333 0.6667 0.5000  3 Al 2.46

***

The following is a DFT calculation (PBE-GGA) of SrAl2Si2 after structural relaxation.

Results
Its symmetry is P-3m1, No. 164. The calculation puts the formation energy from the elements at -267 meV per atom.

a = 4.2063 Å, b = 4.2063 Å, c = 7.4479 Å
α = 90.00°, β = 90.00°, γ = 120.00°
Last column: nearest neighbours and their distance in Å.
Fractional coordinates of all 5 atoms:
Sr 0.0000 0.0000 0.0000  6 Si 3.18
Al 0.3333 0.6667 0.6258  4 Si 2.54-2.60
Al 0.6667 0.3333 0.3742  4 Si 2.54-2.60
Si 0.3333 0.6667 0.2763  4 Al 2.54-2.60
Si 0.6667 0.3333 0.7237  4 Al 2.54-2.60

***

The following is a DFT calculation (PBE-GGA) of Tb6Al3Si after structural relaxation.

Results
Its symmetry is I4/mcm, No. 140. The calculation puts the formation energy from the elements at -386 meV per atom.

a = 11.2410 Å, b = 11.2410 Å, c = 11.2410 Å
α = 117.73°, β = 117.73°, γ = 93.98°
Last column: nearest neighbours and their distance in Å.
Fractional coordinates of all 40 atoms:
Tb 0.0616 0.9299 0.2599  2 Si 2.98-3.16, 3 Al 3.04-3.19
Tb 0.0701 0.3301 0.1318  2 Si 2.98-3.16, 3 Al 3.04-3.19
Tb 0.1484 0.6484 0.5000  4 Al 3.01-3.05, 1 Tb 3.11
Tb 0.1689 0.3311 0.5000  5 Al 3.14-3.48
Tb 0.1699 0.4299 0.8682  2 Si 2.98-3.16, 3 Al 3.04-3.19
Tb 0.1983 0.9384 0.8682  2 Si 2.98-3.16, 3 Al 3.04-3.19
Tb 0.3017 0.1699 0.7401  2 Si 2.98-3.16, 3 Al 3.04-3.19
Tb 0.3301 0.1983 0.2599  2 Si 2.98-3.16, 3 Al 3.04-3.19
Tb 0.3311 0.8311 0.1621  5 Al 3.14-3.48
Tb 0.3516 0.8516 0.5000  4 Al 3.01-3.05, 1 Tb 3.11
Tb 0.4299 0.5616 0.2599  2 Si 2.98-3.16, 3 Al 3.04-3.19
Tb 0.4384 0.6983 0.8682  2 Si 2.98-3.16, 3 Al 3.04-3.19
Tb 0.5616 0.3017 0.1318  2 Si 2.98-3.16, 3 Al 3.04-3.19
Tb 0.5701 0.4384 0.7401  2 Si 2.98-3.16, 3 Al 3.04-3.19
Tb 0.6484 0.1484 0.5000  4 Al 3.01-3.05, 1 Tb 3.11
Tb 0.6689 0.1689 0.8379  5 Al 3.14-3.48
Tb 0.6699 0.8017 0.7401  2 Si 2.98-3.16, 3 Al 3.04-3.19
Tb 0.6983 0.8301 0.2599  2 Si 2.98-3.16, 3 Al 3.04-3.19
Tb 0.8017 0.0616 0.1318  2 Si 2.98-3.16, 3 Al 3.04-3.19
Tb 0.8301 0.5701 0.1318  2 Si 2.98-3.16, 3 Al 3.04-3.19
Tb 0.8311 0.6689 0.5000  5 Al 3.14-3.48
Tb 0.8516 0.3516 0.5000  4 Al 3.01-3.05, 1 Tb 3.11
Tb 0.9299 0.6699 0.8682  2 Si 2.98-3.16, 3 Al 3.04-3.19
Tb 0.9384 0.0701 0.7401  2 Si 2.98-3.16, 3 Al 3.04-3.19
Al 0.0264 0.8827 0.5000  1 Al 2.74, 1 Tb 3.05
Al 0.1173 0.6173 0.1436  1 Al 2.74, 1 Tb 3.05
Al 0.1196 0.6196 0.7392  6 Tb 3.01-3.04
Al 0.3804 0.1196 0.5000  6 Tb 3.01-3.04
Al 0.3827 0.5264 0.5000  1 Al 2.74, 1 Tb 3.05
Al 0.4736 0.9736 0.8564  1 Al 2.74, 1 Tb 3.05
Al 0.5264 0.0264 0.1436  1 Al 2.74, 1 Tb 3.05
Al 0.6173 0.4736 0.5000  1 Al 2.74, 1 Tb 3.05
Al 0.6196 0.8804 0.5000  6 Tb 3.01-3.04
Al 0.8804 0.3804 0.2608  6 Tb 3.01-3.04
Al 0.8827 0.3827 0.8564  1 Al 2.74, 1 Tb 3.05
Al 0.9736 0.1173 0.5000  1 Al 2.74, 1 Tb 3.05
Si 0.0000 0.0000 0.0000  8 Tb 3.16
Si 0.2500 0.2500 0.0000  8 Tb 2.98
Si 0.5000 0.5000 0.0000  8 Tb 3.16
Si 0.7500 0.7500 0.0000  8 Tb 2.98

***

The following is a DFT calculation (PBE-GGA) of Tb12Al7Si after structural relaxation.

Results
Its symmetry is I4/mcm, No. 140. The calculation puts the formation energy from the elements at -369 meV per atom.

a = 11.2929 Å, b = 11.2929 Å, c = 11.2929 Å
α = 117.48°, β = 117.48°, γ = 94.41°
Last column: nearest neighbours and their distance in Å.
Fractional coordinates of all 40 atoms:
Tb 0.0634 0.9281 0.2643  1 Si 3.02, 5 Al 3.06-3.35
Tb 0.0719 0.3362 0.1353  1 Si 3.02, 5 Al 3.06-3.35
Tb 0.1480 0.6480 0.5000  4 Al 2.99-3.08, 1 Tb 3.13
Tb 0.1638 0.4281 0.8647  1 Si 3.02, 5 Al 3.06-3.35
Tb 0.1701 0.3299 0.5000  4 Al 3.13-3.43
Tb 0.2008 0.9366 0.8647  1 Si 3.02, 5 Al 3.06-3.35
Tb 0.2992 0.1638 0.7357  1 Si 3.02, 5 Al 3.06-3.35
Tb 0.3299 0.8299 0.1598  4 Al 3.13-3.43
Tb 0.3362 0.2008 0.2643  1 Si 3.02, 5 Al 3.06-3.35
Tb 0.3520 0.8520 0.5000  4 Al 2.99-3.08, 1 Tb 3.13
Tb 0.4281 0.5634 0.2643  1 Si 3.02, 5 Al 3.06-3.35
Tb 0.4366 0.7008 0.8647  1 Si 3.02, 5 Al 3.06-3.35
Tb 0.5634 0.2992 0.1353  1 Si 3.02, 5 Al 3.06-3.35
Tb 0.5719 0.4366 0.7357  1 Si 3.02, 5 Al 3.06-3.35
Tb 0.6480 0.1480 0.5000  4 Al 2.99-3.08, 1 Tb 3.13
Tb 0.6638 0.7992 0.7357  1 Si 3.02, 5 Al 3.06-3.35
Tb 0.6701 0.1701 0.8402  4 Al 3.13-3.43
Tb 0.7008 0.8362 0.2643  1 Si 3.02, 5 Al 3.06-3.35
Tb 0.7992 0.0634 0.1353  1 Si 3.02, 5 Al 3.06-3.35
Tb 0.8299 0.6701 0.5000  4 Al 3.13-3.43
Tb 0.8362 0.5719 0.1353  1 Si 3.02, 5 Al 3.06-3.35
Tb 0.8520 0.3520 0.5000  4 Al 2.99-3.08, 1 Tb 3.13
Tb 0.9281 0.6638 0.8647  1 Si 3.02, 5 Al 3.06-3.35
Tb 0.9366 0.0719 0.7357  1 Si 3.02, 5 Al 3.06-3.35
Al 0.0000 0.0000 0.0000  8 Tb 3.23
Al 0.0253 0.8823 0.5000  1 Al 2.76, 1 Tb 3.08
Al 0.1177 0.6177 0.1430  1 Al 2.76, 1 Tb 3.08
Al 0.1177 0.6177 0.7353  6 Tb 2.99-3.06
Al 0.3823 0.1177 0.5000  6 Tb 2.99-3.06
Al 0.3823 0.5253 0.5000  1 Al 2.76, 1 Tb 3.08
Al 0.4747 0.9747 0.8570  1 Al 2.76, 1 Tb 3.08
Al 0.5000 0.5000 0.0000  8 Tb 3.23
Al 0.5253 0.0253 0.1430  1 Al 2.76, 1 Tb 3.08
Al 0.6177 0.4747 0.5000  1 Al 2.76, 1 Tb 3.08
Al 0.6177 0.8823 0.5000  6 Tb 2.99-3.06
Al 0.8823 0.3823 0.2647  6 Tb 2.99-3.06
Al 0.8823 0.3823 0.8570  1 Al 2.76, 1 Tb 3.08
Al 0.9747 0.1177 0.5000  1 Al 2.76, 1 Tb 3.08
Si 0.2500 0.2500 0.0000  8 Tb 3.02
Si 0.7500 0.7500 0.0000  8 Tb 3.02

***

The following is a DFT calculation (PBE-GGA) of TbAl2Si2 after structural relaxation.

Results
Its symmetry is P-3m1, No. 164. The calculation puts the formation energy from the elements at -352 meV per atom.

a = 4.2186 Å, b = 4.2186 Å, c = 6.5908 Å
α = 90.00°, β = 90.00°, γ = 120.00°
Last column: nearest neighbours and their distance in Å.
Fractional coordinates of all 5 atoms:
Tb 0.0000 0.0000 0.0000  6 Si 2.98
Al 0.3333 0.6667 0.6445  4 Si 2.51-2.53
Al 0.6667 0.3333 0.3555  4 Si 2.51-2.53
Si 0.3333 0.6667 0.2606  4 Al 2.51-2.53
Si 0.6667 0.3333 0.7394  4 Al 2.51-2.53

***

The following is a DFT calculation (PBE-GGA) of AlSiTe3 after structural relaxation.

Results
Its symmetry is P-31m, No. 162. The calculation puts the formation energy from the elements at -521 meV per atom.

a = 6.9128 Å, b = 6.9128 Å, c = 7.6841 Å
α = 90.00°, β = 90.00°, γ = 120.00°
Last column: nearest neighbours and their distance in Å.
Fractional coordinates of all 10 atoms:
Al 0.3333 0.6667 0.0000  6 Te 2.86
Al 0.6667 0.3333 0.0000  6 Te 2.86
Si 0.0000 0.0000 0.1496  1 Si 2.30, 3 Te 2.54
Si 0.0000 0.0000 0.8504  1 Si 2.30, 3 Te 2.54
Te 0.0000 0.3555 0.7679  1 Si 2.54
Te 0.0000 0.6445 0.2321  1 Si 2.54
Te 0.3555 0.0000 0.7679  1 Si 2.54
Te 0.3555 0.3555 0.2321  1 Si 2.54
Te 0.6445 0.0000 0.2321  1 Si 2.54
Te 0.6445 0.6445 0.7679  1 Si 2.54

***

The following is a DFT calculation (PBE-GGA) of Ti2AlSi3 after structural relaxation.

Results
Its symmetry is Amm2, No. 38. The calculation puts the formation energy from the elements at -520 meV per atom.

a = 3.6011 Å, b = 7.0036 Å, c = 7.0036 Å
α = 30.11°, β = 90.00°, γ = 90.00°
Last column: nearest neighbours and their distance in Å.
Fractional coordinates of all 6 atoms:
Ti 0.0000 0.0000 0.0000  8 Si 2.60-2.81, 2 Al 2.74
Ti 0.5000 0.1933 0.1933  8 Si 2.60-2.82, 2 Al 2.76
Al 0.5000 0.8471 0.8471  4 Si 2.56, 4 Ti 2.74-2.76
Si 0.0000 0.3459 0.3459  4 Al 2.56, 4 Ti 2.74-2.77
Si 0.0000 0.6581 0.6581  2 Si 2.46, 4 Ti 2.60
Si 0.5000 0.5343 0.5343  2 Si 2.46, 4 Ti 2.60

***

The following is a DFT calculation (PBE-GGA) of Ti20Al3Si9 after structural relaxation.

Results
Its symmetry is Pm, No. 6. The calculation puts the formation energy from the elements at -618 meV per atom.

a = 7.5518 Å, b = 5.1701 Å, c = 13.0507 Å
α = 90.00°, β = 90.05°, γ = 90.00°
Last column: nearest neighbours and their distance in Å.
Fractional coordinates of all 32 atoms:
Ti 0.0000 0.0000 0.0000  3 Si 2.55-2.83, 2 Al 2.63-2.74
Ti 0.0039 0.0000 0.2476  4 Si 2.56-2.80, 1 Al 2.63
Ti 0.1289 0.5000 0.1218  3 Si 2.56-2.73, 2 Al 2.81
Ti 0.1409 0.0000 0.6183  3 Si 2.56-2.82, 2 Al 2.65-2.74
Ti 0.2587 0.5000 0.4959  5 Si 2.60-2.80
Ti 0.2613 0.5000 0.7437  3 Si 2.57-2.72, 2 Al 2.83
Ti 0.3867 0.2519 0.2914  2 Ti 2.57-2.60, 5 Si 2.63-2.66, 1 Al 2.69
Ti 0.3867 0.7481 0.2914  2 Ti 2.57-2.60, 5 Si 2.63-2.66, 1 Al 2.69
Ti 0.3902 0.2538 0.9551  2 Ti 2.55-2.62, 4 Si 2.63-2.67, 2 Al 2.69
Ti 0.3902 0.7462 0.9551  2 Ti 2.55-2.62, 4 Si 2.63-2.67, 2 Al 2.69
Ti 0.5046 0.0000 0.4946  4 Si 2.56-2.79, 1 Al 2.64
Ti 0.5085 0.0000 0.7467  2 Al 2.62, 3 Si 2.70-2.79
Ti 0.6290 0.5000 0.6214  3 Si 2.56-2.73, 2 Al 2.82
Ti 0.6403 0.0000 0.1222  4 Si 2.57-2.82, 1 Al 2.75
Ti 0.7594 0.5000 0.2473  5 Si 2.59-2.80
Ti 0.7588 0.5000 0.9966  5 Si 2.61-2.80
Ti 0.8801 0.2536 0.7913  2 Ti 2.55-2.62, 4 Si 2.63-2.69, 2 Al 2.68-2.69
Ti 0.8801 0.7464 0.7913  2 Ti 2.55-2.62, 4 Si 2.63-2.69, 2 Al 2.68-2.69
Ti 0.8866 0.2519 0.4516  2 Ti 2.57-2.60, 5 Si 2.64-2.68, 1 Al 2.69
Ti 0.8866 0.7481 0.4516  2 Ti 2.57-2.60, 5 Si 2.64-2.68, 1 Al 2.69
Al 0.1856 0.0000 0.8195  9 Ti 2.62-2.83
Al 0.2764 0.0000 0.1222  9 Ti 2.63-2.81
Al 0.7784 0.0000 0.6207  9 Ti 2.62-2.82
Si 0.0822 0.5000 0.3164  9 Ti 2.56-2.80
Si 0.0837 0.5000 0.9252  9 Ti 2.59-2.83
Si 0.1877 0.0000 0.4242  9 Ti 2.56-2.80
Si 0.4910 0.5000 0.1231  9 Ti 2.59-2.82
Si 0.5782 0.5000 0.8160  9 Ti 2.57-2.79
Si 0.5816 0.5000 0.4271  9 Ti 2.56-2.79
Si 0.6872 0.0000 0.3176  9 Ti 2.56-2.80
Si 0.6871 0.0000 0.9263  9 Ti 2.55-2.80
Si 0.9908 0.5000 0.6219  9 Ti 2.59-2.82

***

The following is a DFT calculation (PBE-GGA) of Tm2AlSi2 after structural relaxation.

Results
Its symmetry is Immm, No. 71. The calculation puts the formation energy from the elements at -681 meV per atom.

a = 5.5257 Å, b = 5.5257 Å, c = 5.5257 Å
α = 137.32°, β = 116.88°, γ = 79.21°
Last column: nearest neighbours and their distance in Å.
Fractional coordinates of all 5 atoms:
Tm 0.2112 0.2112 0.0000  6 Si 2.96-2.97, 2 Al 3.18
Tm 0.7888 0.7888 0.0000  6 Si 2.96-2.97, 2 Al 3.18
Al 0.5000 0.0000 0.5000  4 Si 2.62
Si 0.2110 0.5000 0.7110  1 Si 2.44, 2 Al 2.62
Si 0.7890 0.5000 0.2890  1 Si 2.44, 2 Al 2.62

***

Corrected total energy (MP2020 scheme) (computed, eV per cell): -19.83 -222.74 -24.87 -11.99 -21.37 -193.32 -189.29 -24.74 -42.41 -38.93 -237.75 -26.95